# 1
Li4Mn3FeP4O16: optimized geometry, GGA+U.

abc: 4.780 6.150 10.525
angles: 90.00 90.06 90.00
Space group Pm (No. 6)
One atom of each set of equivalent atoms:
Li 0.000 0.249 0.000
Li 0.500 0.250 0.500
Mn 0.028 0.500 0.719
Mn 0.471 0.500 0.219
Mn 0.972 0.000 0.282
Fe 0.530 0.000 0.782
P 0.090 0.000 0.594
P 0.411 0.000 0.092
P 0.588 0.500 0.907
P 0.910 0.500 0.408
O 0.211 0.000 0.456
O 0.226 0.201 0.663
O 0.231 0.500 0.404
O 0.267 0.500 0.904
O 0.276 0.201 0.161
O 0.290 0.000 0.954
O 0.713 0.500 0.044
O 0.719 0.297 0.838
O 0.732 0.000 0.096
O 0.769 0.000 0.597
O 0.776 0.299 0.339
O 0.788 0.500 0.545

Energy of formation from the pure elements ... -2.593 eV/atom

---

# 2
Li8MnFe7P8O32: optimized geometry, GGA+U.

abc: 9.509 12.181 10.444
angles: 90.00 90.00 90.00
Space group Cm (No. 8)
One atom of each set of equivalent atoms:
Li 0.000 0.125 0.000
Li 0.000 0.375 0.000
Li 0.250 0.125 0.500
Li 0.250 0.375 0.501
Mn 0.262 0.500 0.218
Fe 0.013 0.250 0.282
Fe 0.237 0.250 0.782
Fe 0.263 0.000 0.218
Fe 0.486 0.000 0.719
Fe 0.486 0.500 0.718
P 0.039 0.500 0.407
P 0.042 0.000 0.406
P 0.209 0.000 0.905
P 0.209 0.500 0.905
P 0.292 0.249 0.095
P 0.459 0.250 0.595
O 0.103 0.000 0.544
O 0.103 0.500 0.544
O 0.106 0.398 0.336
O 0.108 0.101 0.335
O 0.120 0.250 0.598
O 0.130 0.250 0.098
O 0.142 0.102 0.835
O 0.142 0.398 0.834
O 0.146 0.500 0.042
O 0.147 0.000 0.043
O 0.353 0.249 0.956
O 0.358 0.147 0.165
O 0.361 0.349 0.165
O 0.370 0.000 0.903
O 0.370 0.500 0.903
O 0.378 0.000 0.404
O 0.380 0.500 0.404
O 0.392 0.149 0.666
O 0.392 0.352 0.666
O 0.397 0.250 0.457

Energy of formation from the pure elements ... -2.498 eV/atom

---

# 3
Li8Mn7FeP12O48: optimized geometry, GGA+U.

abc: 8.571 8.795 11.956
angles: 89.78 89.95 89.83
Space group P1 (No. 1)
One atom of each set of equivalent atoms:
Li 0.000 0.000 0.000
Li 0.000 0.055 0.361
Li 0.068 0.502 0.861
Li 0.068 0.557 0.499
Li 0.498 0.056 0.500
Li 0.499 0.001 0.861
Li 0.569 0.501 0.998
Li 0.569 0.559 0.361
Mn 0.032 0.242 0.567
Mn 0.032 0.815 0.795
Mn 0.036 0.315 0.066
Mn 0.531 0.242 0.293
Mn 0.532 0.815 0.066
Mn 0.534 0.744 0.566
Mn 0.535 0.315 0.793
Fe 0.037 0.741 0.294
P 0.178 0.173 0.827
P 0.178 0.884 0.536
P 0.249 0.030 0.181
P 0.322 0.525 0.180
P 0.389 0.385 0.532
P 0.389 0.673 0.827
P 0.676 0.888 0.326
P 0.678 0.173 0.033
P 0.748 0.030 0.680
P 0.819 0.529 0.680
P 0.888 0.673 0.032
P 0.889 0.383 0.327
O 0.105 0.295 0.907
O 0.107 0.765 0.457
O 0.124 0.048 0.502
O 0.125 0.013 0.861
O 0.128 0.218 0.708
O 0.129 0.845 0.656
O 0.142 0.117 0.097
O 0.142 0.943 0.262
O 0.208 0.382 0.522
O 0.209 0.674 0.838
O 0.228 0.418 0.104
O 0.228 0.632 0.254
O 0.343 0.139 0.255
O 0.343 0.923 0.105
O 0.358 0.884 0.525
O 0.359 0.176 0.837
O 0.430 0.611 0.098
O 0.431 0.435 0.263
O 0.439 0.340 0.651
O 0.440 0.717 0.709
O 0.442 0.544 0.498
O 0.443 0.511 0.860
O 0.461 0.794 0.907
O 0.462 0.262 0.453
O 0.602 0.768 0.406
O 0.605 0.295 0.954
O 0.618 0.051 0.357
O 0.625 0.013 0.000
O 0.627 0.842 0.208
O 0.628 0.217 0.152
O 0.641 0.117 0.763
O 0.642 0.946 0.597
O 0.707 0.379 0.337
O 0.708 0.675 0.020
O 0.726 0.420 0.756
O 0.726 0.636 0.604
O 0.840 0.923 0.756
O 0.842 0.138 0.604
O 0.855 0.887 0.337
O 0.858 0.175 0.023
O 0.927 0.614 0.761
O 0.928 0.440 0.597
O 0.939 0.339 0.208
O 0.940 0.717 0.148
O 0.941 0.511 0.999
O 0.941 0.544 0.360
O 0.960 0.794 0.951
O 0.961 0.261 0.407

Energy of formation from the pure elements ... -2.462 eV/atom

---

# 4
Li12Mn11FeP12O48: optimized geometry, GGA+U.

abc: 4.788 18.522 10.543
angles: 90.00 90.03 90.00
Space group Pm (No. 6)
One atom of each set of equivalent atoms:
Li 0.000 0.083 0.000
Li 0.000 0.250 0.000
Li 0.000 0.417 0.000
Li 0.500 0.083 0.500
Li 0.500 0.250 0.500
Li 0.500 0.417 0.501
Mn 0.028 0.000 0.719
Mn 0.028 0.334 0.719
Mn 0.472 0.000 0.219
Mn 0.472 0.333 0.219
Mn 0.528 0.167 0.781
Mn 0.972 0.167 0.281
Mn 0.973 0.500 0.281
Fe 0.531 0.500 0.781
P 0.090 0.167 0.592
P 0.092 0.500 0.594
P 0.410 0.167 0.092
P 0.411 0.500 0.091
P 0.589 0.334 0.908
P 0.590 0.000 0.908
P 0.910 0.000 0.408
P 0.910 0.333 0.408
O 0.211 0.500 0.456
O 0.212 0.167 0.455
O 0.223 0.234 0.661
O 0.224 0.100 0.661
O 0.227 0.433 0.663
O 0.231 0.000 0.404
O 0.231 0.333 0.404
O 0.268 0.333 0.904
O 0.269 0.000 0.904
O 0.277 0.100 0.161
O 0.277 0.234 0.161
O 0.277 0.433 0.160
O 0.288 0.167 0.955
O 0.291 0.500 0.954
O 0.712 0.000 0.045
O 0.713 0.334 0.044
O 0.718 0.401 0.838
O 0.723 0.067 0.839
O 0.723 0.267 0.838
O 0.731 0.167 0.096
O 0.732 0.500 0.096
O 0.770 0.167 0.596
O 0.770 0.500 0.598
O 0.777 0.067 0.339
O 0.777 0.266 0.339
O 0.777 0.400 0.339
O 0.788 0.000 0.545
O 0.788 0.333 0.545

Energy of formation from the pure elements ... -2.619 eV/atom

---

# 5
Li4Mn3FeP4O16: optimized geometry, GGA+U.

abc: 7.791 7.794 10.534
angles: 90.04 90.07 104.26
Space group P-1 (No. 2)
One atom of each set of equivalent atoms:
Li 0.000 0.000 0.000
Li 0.000 0.500 0.500
Li 0.250 0.250 0.500
Li 0.250 0.750 0.000
Li 0.500 0.000 0.500
Li 0.500 0.500 0.000
Mn 0.138 0.388 0.219
Mn 0.361 0.112 0.781
Mn 0.361 0.612 0.719
Fe 0.139 0.890 0.282
P 0.079 0.329 0.906
P 0.081 0.833 0.592
P 0.418 0.669 0.407
P 0.419 0.169 0.093
O 0.019 0.269 0.044
O 0.020 0.771 0.455
O 0.085 0.131 0.338
O 0.088 0.637 0.163
O 0.113 0.162 0.837
O 0.113 0.665 0.662
O 0.240 0.490 0.903
O 0.243 0.992 0.596
O 0.258 0.008 0.097
O 0.258 0.508 0.404
O 0.380 0.835 0.338
O 0.385 0.336 0.162
O 0.414 0.865 0.838
O 0.415 0.364 0.662
O 0.480 0.230 0.956
O 0.480 0.731 0.544

Energy of formation from the pure elements ... -2.593 eV/atom

---

# 6
Li2MnFe2P3O12: optimized geometry, GGA+U.

abc: 14.619 8.954 8.475
angles: 90.00 121.63 90.00
Space group C2 (No. 5)
One atom of each set of equivalent atoms:
Li 0.000 0.000 0.000
Li 0.000 0.302 0.500
Li 0.205 0.692 0.906
Mn 0.245 0.391 0.741
Fe 0.094 0.395 0.902
Fe 0.104 0.892 0.397
P 0.000 0.602 0.500
P 0.000 0.702 0.000
P 0.143 0.039 0.800
P 0.156 0.240 0.311
O 0.036 0.999 0.784
O 0.049 0.290 0.287
O 0.053 0.700 0.424
O 0.065 0.611 0.940
O 0.085 0.812 0.151
O 0.088 0.495 0.650
O 0.145 0.978 0.634
O 0.164 0.212 0.809
O 0.166 0.065 0.316
O 0.171 0.285 0.151
O 0.234 0.977 0.992
O 0.245 0.307 0.500

Energy of formation from the pure elements ... -2.434 eV/atom

---

# 7
Li8MnFe7P12O48: optimized geometry, GGA+U.

abc: 8.651 8.792 12.193
angles: 90.07 90.02 90.09
Space group P1 (No. 1)
One atom of each set of equivalent atoms:
Li 0.000 0.000 0.000
Li 0.000 0.056 0.637
Li 0.065 0.499 0.137
Li 0.067 0.555 0.499
Li 0.499 0.998 0.138
Li 0.500 0.055 0.500
Li 0.566 0.500 0.000
Li 0.566 0.555 0.637
Mn 0.535 0.316 0.207
Fe 0.031 0.819 0.206
Fe 0.033 0.237 0.432
Fe 0.033 0.319 0.933
Fe 0.033 0.736 0.705
Fe 0.533 0.237 0.706
Fe 0.533 0.818 0.932
Fe 0.534 0.738 0.433
P 0.177 0.885 0.466
P 0.179 0.173 0.172
P 0.243 0.028 0.819
P 0.323 0.527 0.818
P 0.388 0.668 0.174
P 0.391 0.384 0.464
P 0.677 0.171 0.968
P 0.677 0.885 0.672
P 0.742 0.030 0.319
P 0.820 0.527 0.318
P 0.889 0.384 0.672
P 0.889 0.671 0.966
O 0.109 0.763 0.545
O 0.111 0.293 0.093
O 0.119 0.045 0.499
O 0.126 0.011 0.138
O 0.126 0.844 0.349
O 0.129 0.212 0.289
O 0.134 0.115 0.898
O 0.134 0.940 0.740
O 0.210 0.671 0.163
O 0.212 0.382 0.473
O 0.226 0.420 0.889
O 0.226 0.635 0.748
O 0.340 0.135 0.748
O 0.340 0.920 0.890
O 0.355 0.882 0.475
O 0.360 0.175 0.162
O 0.432 0.440 0.739
O 0.432 0.614 0.898
O 0.438 0.342 0.345
O 0.439 0.710 0.289
O 0.446 0.505 0.140
O 0.448 0.544 0.497
O 0.458 0.787 0.093
O 0.459 0.263 0.543
O 0.606 0.293 0.048
O 0.609 0.764 0.593
O 0.619 0.010 0.001
O 0.620 0.045 0.639
O 0.624 0.215 0.853
O 0.626 0.845 0.789
O 0.632 0.942 0.397
O 0.634 0.119 0.237
O 0.710 0.382 0.663
O 0.710 0.673 0.975
O 0.724 0.634 0.389
O 0.725 0.418 0.244
O 0.837 0.923 0.246
O 0.838 0.138 0.390
O 0.855 0.174 0.977
O 0.856 0.882 0.663
O 0.929 0.613 0.238
O 0.930 0.440 0.397
O 0.939 0.344 0.788
O 0.940 0.711 0.849
O 0.946 0.511 0.999
O 0.946 0.545 0.638
O 0.957 0.264 0.593
O 0.957 0.792 0.045

Energy of formation from the pure elements ... -2.414 eV/atom